# MgCo2C4O12 PBE+U optimized geometry
data_MgCo2C4O12
_cell_length_a 6.5955
_cell_length_b 7.7898
_cell_length_c 5.2845
_cell_angle_alpha 91.51
_cell_angle_beta 117.85
_cell_angle_gamma 88.97
_symmetry_space_group_name_H-M 'P 1'
_symmetry_Int_Tables_number 1
loop_
_symmetry_equiv_pos_as_xyz
'x,y,z'
loop_
_atom_site_label
_atom_site_fract_x
_atom_site_fract_y
_atom_site_fract_z
_atom_site_occupancy
C1 0.8922 0.7453 0.1056 1
C2 0.3958 0.7735 0.1436 1
C3 0.6038 0.2421 0.8882 1
C4 0.1246 0.2603 0.8706 1
O1 0.0972 0.1135 0.7175 1
O2 0.4587 0.6346 0.2872 1
O3 0.6184 0.0870 0.8017 1
O4 0.3449 0.9117 0.2380 1
O5 0.1814 0.3997 0.8154 1
O6 0.5591 0.3737 0.7262 1
O7 0.0740 0.2347 0.0788 1
O8 0.9655 0.8852 0.2768 1
O9 0.3883 0.7618 0.8897 1
O10 0.8840 0.7733 0.8577 1
O11 0.6174 0.2775 0.1360 1
O12 0.8374 0.6105 0.1777 1
Co1 0.9748 0.0059 0.9573 1
Co2 0.5121 0.5102 0.0030 1
Mg1 0.3038 0.9529 0.6006 1
# Theoretical density (g/cm³): 2.6
# ΔE_f (eV/atom): -1.705
# Space group: P1 (1)